Record 1
The following is a PBE+U calculation of an optimized crystal structure of Sr3CaMn2FeO10, from the Materials Project database.

Cell and atoms, written as CIF:
```
data_Sr3CaMn2FeO10
_chemical_formula_sum 'Sr3 Ca1 Mn2 Fe1 O10'
_space_group_name_H-M_alt 'P 1'
_space_group_IT_number 1
_space_group_name_Hall 'P 1'
_cell_length_a 14.2352
_cell_length_b 14.2352
_cell_length_c 14.2352
_cell_angle_alpha 164.42
_cell_angle_beta 164.42
_cell_angle_gamma 22.10
loop_
_atom_site_label
_atom_site_type_symbol
_atom_site_fract_x
_atom_site_fract_y
_atom_site_fract_z
Sr1 Sr 0.0000 0.0000 0.0000
Sr2 Sr 0.1335 0.1335 0.0000
Sr3 Sr 0.8597 0.8597 0.0000
Ca1 Ca 0.7289 0.7289 0.0000
Mn1 Mn 0.2873 0.2873 0.0000
Mn2 Mn 0.5719 0.5719 0.0000
Fe1 Fe 0.4297 0.4297 0.0000
O1 O 0.0699 0.5699 0.5000
O2 O 0.2196 0.2196 0.0000
O3 O 0.2868 0.7868 0.5000
O4 O 0.3571 0.3571 0.0000
O5 O 0.4293 0.9293 0.5000
O6 O 0.5016 0.5016 0.0000
O7 O 0.5699 0.0699 0.5000
O8 O 0.6418 0.6418 0.0000
O9 O 0.7868 0.2868 0.5000
O10 O 0.9293 0.4293 0.5000
```

symmetry	I4mm, No. 107
energy above the lowest structure with this stoichiometry	0.0	meV/atom
energy of formation	-2.489	eV/atom
electronic total energy	-6.659	eV/atom

---

Record 2
The following is a PBE+U calculation of an optimized crystal structure of Sr3Ca5Mn3Fe5O24, from the Materials Project database.

Cell and atoms, written as CIF:
```
data_Sr3Ca5Mn3Fe5O24
_chemical_formula_sum 'Sr3 Ca5 Mn3 Fe5 O24'
_space_group_name_H-M_alt 'P 1'
_space_group_IT_number 1
_space_group_name_Hall 'P 1'
_cell_length_a 7.7110
_cell_length_b 7.7155
_cell_length_c 7.7527
_cell_angle_alpha 90.03
_cell_angle_beta 90.03
_cell_angle_gamma 90.01
loop_
_atom_site_label
_atom_site_type_symbol
_atom_site_fract_x
_atom_site_fract_y
_atom_site_fract_z
Sr1 Sr 0.0000 0.0000 0.0000
Sr2 Sr 0.0000 0.0001 0.4975
Sr3 Sr 0.0000 0.5002 0.4973
Ca1 Ca 0.0003 0.5005 0.0006
Ca2 Ca 0.4997 0.9997 0.0008
Ca3 Ca 0.4996 0.9996 0.4967
Ca4 Ca 0.4996 0.5006 0.0007
Ca5 Ca 0.4996 0.5006 0.4968
Mn1 Mn 0.2521 0.2512 0.2479
Mn2 Mn 0.2522 0.7493 0.2480
Mn3 Mn 0.7470 0.7494 0.2479
Fe1 Fe 0.2524 0.2509 0.7496
Fe2 Fe 0.2524 0.7493 0.7498
Fe3 Fe 0.7474 0.2510 0.2479
Fe4 Fe 0.7473 0.2510 0.7496
Fe5 Fe 0.7477 0.7493 0.7496
O1 O 0.0005 0.7467 0.7521
O2 O 0.0010 0.7461 0.2449
O3 O 0.0039 0.2536 0.2453
O4 O 0.2554 0.2535 0.0015
O5 O 0.2551 0.5010 0.2450
O6 O 0.2550 0.5006 0.7519
O7 O 0.2553 0.7467 0.0015
O8 O 0.2574 0.9996 0.7497
O9 O 0.2579 0.2510 0.4959
O10 O 0.2580 0.7492 0.4959
O11 O 0.2585 0.9992 0.2480
O12 O 0.4963 0.2511 0.2477
O13 O 0.4991 0.7494 0.2479
O14 O 0.4996 0.7491 0.7497
O15 O 0.5015 0.2511 0.7498
O16 O 0.7423 0.2511 0.5012
O17 O 0.7421 0.7492 0.4959
O18 O 0.7423 0.9963 0.2478
O19 O 0.7426 0.0018 0.7497
O20 O 0.7447 0.2533 0.9964
O21 O 0.7448 0.4985 0.7519
O22 O 0.7448 0.5039 0.2455
O23 O 0.7447 0.7467 0.0015
O24 O 0.9982 0.2534 0.7521
```

symmetry	P1, No. 1
energy of formation	-2.285	eV/atom
electronic total energy	-6.558	eV/atom

---

Record 3
The following is a PBE+U calculation of an optimized crystal structure of Sr3Ca5Mn7FeO20, from the Materials Project database.

Cell and atoms, written as CIF:
```
data_Sr3Ca5Mn7FeO20
_chemical_formula_sum 'Sr12 Ca20 Mn28 Fe4 O80'
_space_group_name_H-M_alt 'P 1'
_space_group_IT_number 1
_space_group_name_Hall 'P 1'
_cell_length_a 10.9916
_cell_length_b 11.1569
_cell_length_c 17.4772
_cell_angle_alpha 108.60
_cell_angle_beta 108.28
_cell_angle_gamma 90.09
loop_
_atom_site_label
_atom_site_type_symbol
_atom_site_fract_x
_atom_site_fract_y
_atom_site_fract_z
Sr1 Sr 0.0000 0.0000 0.0000
Sr2 Sr 0.0000 0.4993 0.4963
Sr3 Sr 0.1096 0.6202 0.7189
Sr4 Sr 0.1110 0.1189 0.7197
Sr5 Sr 0.2505 0.7597 0.4962
Sr6 Sr 0.2521 0.7609 0.0025
Sr7 Sr 0.3618 0.3619 0.7202
Sr8 Sr 0.3619 0.8608 0.7179
Sr9 Sr 0.5024 0.0015 0.0013
Sr10 Sr 0.6116 0.6207 0.7205
Sr11 Sr 0.7505 0.2589 0.4970
Sr12 Sr 0.8604 0.3605 0.7196
Ca1 Ca 0.0020 0.9979 0.5022
Ca2 Ca 0.0049 0.4973 0.0061
Ca3 Ca 0.1105 0.6243 0.2159
Ca4 Ca 0.1121 0.1245 0.2180
Ca5 Ca 0.2522 0.2654 0.5021
Ca6 Ca 0.2565 0.2681 0.0069
Ca7 Ca 0.3622 0.3544 0.2184
Ca8 Ca 0.3640 0.8522 0.2189
Ca9 Ca 0.5011 0.4969 0.5022
Ca10 Ca 0.5050 0.9973 0.5029
Ca11 Ca 0.5077 0.4984 0.0075
Ca12 Ca 0.6068 0.1212 0.7152
Ca13 Ca 0.6114 0.1256 0.2171
Ca14 Ca 0.6117 0.6244 0.2171
Ca15 Ca 0.7501 0.7665 0.5019
Ca16 Ca 0.7545 0.2674 0.0043
Ca17 Ca 0.7558 0.7691 0.0067
Ca18 Ca 0.8570 0.8544 0.7136
Ca19 Ca 0.8611 0.8562 0.2184
Ca20 Ca 0.8618 0.3532 0.2149
Mn1 Mn 0.0530 0.8101 0.6079
Mn2 Mn 0.0549 0.3079 0.6073
Mn3 Mn 0.0553 0.8118 0.1128
Mn4 Mn 0.1961 0.9719 0.8625
Mn5 Mn 0.2006 0.4616 0.8647
Mn6 Mn 0.2020 0.4597 0.3559
Mn7 Mn 0.2024 0.9671 0.3582
Mn8 Mn 0.3041 0.0601 0.6059
Mn9 Mn 0.3054 0.0618 0.1135
Mn10 Mn 0.3050 0.5585 0.6070
Mn11 Mn 0.3049 0.5597 0.1124
Mn12 Mn 0.4481 0.1533 0.3571
Mn13 Mn 0.4537 0.6571 0.3587
Mn14 Mn 0.4546 0.1630 0.8615
Mn15 Mn 0.4563 0.6555 0.8664
Mn16 Mn 0.5534 0.3080 0.6063
Mn17 Mn 0.5553 0.8101 0.6083
Mn18 Mn 0.6958 0.4663 0.3562
Mn19 Mn 0.6979 0.9592 0.3582
Mn20 Mn 0.7015 0.9676 0.8593
Mn21 Mn 0.7017 0.4601 0.8650
Mn22 Mn 0.8032 0.0576 0.6082
Mn23 Mn 0.8029 0.5605 0.6069
Mn24 Mn 0.8061 0.0616 0.1130
Mn25 Mn 0.9443 0.6571 0.3545
Mn26 Mn 0.9451 0.6573 0.8629
Mn27 Mn 0.9458 0.1598 0.8606
Mn28 Mn 0.9547 0.1508 0.3577
Fe1 Fe 0.0558 0.3112 0.1122
Fe2 Fe 0.5555 0.3128 0.1126
Fe3 Fe 0.5566 0.8116 0.1139
Fe4 Fe 0.8051 0.5621 0.1112
O1 O 0.1145 0.8702 0.7460
O2 O 0.1145 0.8521 0.2457
O3 O 0.1166 0.3473 0.2425
O4 O 0.1201 0.6209 0.3500
O5 O 0.1219 0.6217 0.8613
O6 O 0.1261 0.3631 0.7466
O7 O 0.1314 0.1429 0.8701
O8 O 0.1381 0.1379 0.3582
O9 O 0.1758 0.1802 0.5974
O10 O 0.1766 0.6772 0.1045
O11 O 0.1787 0.1821 0.1017
O12 O 0.1789 0.6837 0.6041
O13 O 0.1806 0.9384 0.6114
O14 O 0.1841 0.4339 0.6117
O15 O 0.1883 0.9405 0.1262
O16 O 0.1887 0.4397 0.1226
O17 O 0.2276 0.4691 0.9811
O18 O 0.2317 0.9761 0.4716
O19 O 0.2354 0.4731 0.4712
O20 O 0.2352 0.9729 0.9771
O21 O 0.3593 0.1561 0.2460
O22 O 0.3637 0.6506 0.2427
O23 O 0.3732 0.0012 0.8599
O24 O 0.3764 0.1438 0.7442
O25 O 0.3770 0.6394 0.7495
O26 O 0.3833 0.4884 0.3594
O27 O 0.3827 0.9832 0.3592
O28 O 0.3841 0.4933 0.8714
O29 O 0.4245 0.1822 0.1048
O30 O 0.4254 0.6737 0.1016
O31 O 0.4258 0.1792 0.5974
O32 O 0.4289 0.6776 0.5986
O33 O 0.4318 0.4357 0.6106
O34 O 0.4343 0.4420 0.1213
O35 O 0.4365 0.9464 0.1263
O36 O 0.4373 0.9428 0.6137
O37 O 0.4828 0.2681 0.9783
O38 O 0.4829 0.7678 0.9792
O39 O 0.4837 0.2618 0.4708
O40 O 0.4894 0.7679 0.4744
O41 O 0.6065 0.3522 0.2447
O42 O 0.6103 0.8423 0.2408
O43 O 0.6159 0.8601 0.7414
O44 O 0.6212 0.1266 0.3503
O45 O 0.6225 0.3606 0.7472
O46 O 0.6348 0.1409 0.8619
O47 O 0.6346 0.6375 0.3576
O48 O 0.6361 0.6331 0.8703
O49 O 0.6738 0.1774 0.6023
O50 O 0.6752 0.6820 0.0973
O51 O 0.6765 0.6826 0.5980
O52 O 0.6795 0.1856 0.1042
O53 O 0.6806 0.4371 0.6122
O54 O 0.6864 0.4420 0.1242
O55 O 0.6867 0.9396 0.6208
O56 O 0.6891 0.9437 0.1245
O57 O 0.7302 0.4640 0.9790
O58 O 0.7300 0.9724 0.4789
O59 O 0.7328 0.4772 0.4711
O60 O 0.7380 0.9696 0.9783
O61 O 0.8612 0.6592 0.2425
O62 O 0.8665 0.1533 0.2455
O63 O 0.8674 0.6481 0.7456
O64 O 0.8703 0.4863 0.3488
O65 O 0.8707 0.1456 0.7433
O66 O 0.8804 0.4897 0.8691
O67 O 0.8800 0.9876 0.8528
O68 O 0.8863 0.9890 0.3594
O69 O 0.9236 0.1816 0.1040
O70 O 0.9236 0.6842 0.6018
O71 O 0.9271 0.6825 0.1010
O72 O 0.9280 0.1754 0.5998
O73 O 0.9288 0.9352 0.6128
O74 O 0.9332 0.4382 0.6139
O75 O 0.9349 0.9455 0.1252
O76 O 0.9389 0.4450 0.1231
O77 O 0.9740 0.2657 0.9776
O78 O 0.9809 0.7589 0.4705
O79 O 0.9827 0.7658 0.9796
O80 O 0.9846 0.2564 0.4704
```

symmetry	P1, No. 1
energy of formation	-2.525	eV/atom
electronic total energy	-6.941	eV/atom

---

Record 4
The following is a PBE+U calculation of an optimized crystal structure of Sr2Ca2MnFe3O10, from the Materials Project database.

Cell and atoms, written as CIF:
```
data_Sr2Ca2MnFe3O10
_chemical_formula_sum 'Sr16 Ca16 Mn8 Fe24 O80'
_space_group_name_H-M_alt 'P 1'
_space_group_IT_number 1
_space_group_name_Hall 'P 1'
_cell_length_a 11.0606
_cell_length_b 11.3264
_cell_length_c 17.3980
_cell_angle_alpha 108.94
_cell_angle_beta 108.39
_cell_angle_gamma 90.19
loop_
_atom_site_label
_atom_site_type_symbol
_atom_site_fract_x
_atom_site_fract_y
_atom_site_fract_z
Sr1 Sr 0.0000 0.0000 0.0000
Sr2 Sr 0.0008 0.5027 0.9998
Sr3 Sr 0.1090 0.5986 0.7182
Sr4 Sr 0.1097 0.5990 0.2232
Sr5 Sr 0.2482 0.2406 0.9991
Sr6 Sr 0.3573 0.8626 0.7143
Sr7 Sr 0.3584 0.3678 0.2235
Sr8 Sr 0.4992 0.5004 0.9985
Sr9 Sr 0.4998 0.0045 0.0012
Sr10 Sr 0.6067 0.5974 0.7166
Sr11 Sr 0.6087 0.6017 0.2240
Sr12 Sr 0.7485 0.7402 0.0004
Sr13 Sr 0.7502 0.2409 0.9992
Sr14 Sr 0.8570 0.3591 0.7157
Sr15 Sr 0.8588 0.3672 0.2236
Sr16 Sr 0.8604 0.8661 0.2230
Ca1 Ca 0.1041 0.0922 0.7119
Ca2 Ca 0.1048 0.0905 0.2183
Ca3 Ca 0.2456 0.2330 0.5014
Ca4 Ca 0.2457 0.7318 0.5021
Ca5 Ca 0.2515 0.7405 0.0056
Ca6 Ca 0.3562 0.3613 0.7117
Ca7 Ca 0.3577 0.8696 0.2181
Ca8 Ca 0.4965 0.5127 0.5017
Ca9 Ca 0.4976 0.0110 0.5020
Ca10 Ca 0.6019 0.0907 0.2171
Ca11 Ca 0.6041 0.0917 0.7105
Ca12 Ca 0.7445 0.2319 0.5021
Ca13 Ca 0.7459 0.7343 0.5015
Ca14 Ca 0.8552 0.8618 0.7102
Ca15 Ca 0.9954 0.5120 0.5035
Ca16 Ca 0.9994 0.0110 0.5048
Mn1 Mn 0.1586 0.9021 0.8570
Mn2 Mn 0.1640 0.3953 0.8556
Mn3 Mn 0.4085 0.2020 0.8538
Mn4 Mn 0.6569 0.3903 0.8531
Mn5 Mn 0.6566 0.9039 0.3624
Mn6 Mn 0.6641 0.8996 0.8571
Mn7 Mn 0.9114 0.1967 0.8553
Mn8 Mn 0.9156 0.7061 0.8557
Fe1 Fe 0.0538 0.2982 0.6050
Fe2 Fe 0.0536 0.7990 0.6050
Fe3 Fe 0.0554 0.3007 0.1123
Fe4 Fe 0.0577 0.8017 0.1112
Fe5 Fe 0.1571 0.3876 0.3632
Fe6 Fe 0.1629 0.8982 0.3651
Fe7 Fe 0.3019 0.5447 0.6017
Fe8 Fe 0.3048 0.0499 0.6053
Fe9 Fe 0.3054 0.5529 0.1109
Fe10 Fe 0.3056 0.0519 0.1121
Fe11 Fe 0.4069 0.2064 0.3622
Fe12 Fe 0.4076 0.7092 0.8590
Fe13 Fe 0.4087 0.7205 0.3633
Fe14 Fe 0.5523 0.2979 0.6040
Fe15 Fe 0.5542 0.7992 0.6045
Fe16 Fe 0.5545 0.8000 0.1107
Fe17 Fe 0.5555 0.3025 0.1129
Fe18 Fe 0.6570 0.3874 0.3635
Fe19 Fe 0.8027 0.5478 0.6041
Fe20 Fe 0.8039 0.0473 0.6063
Fe21 Fe 0.8051 0.5509 0.1108
Fe22 Fe 0.8067 0.0538 0.1138
Fe23 Fe 0.9066 0.2105 0.3637
Fe24 Fe 0.9117 0.7165 0.3656
O1 O 0.0006 0.7202 0.9742
O2 O 0.0034 0.6932 0.4692
O3 O 0.1274 0.3893 0.7398
O4 O 0.1313 0.3969 0.2535
O5 O 0.1306 0.8931 0.7413
O6 O 0.1368 0.9020 0.2533
O7 O 0.1710 0.9208 0.5923
O8 O 0.1721 0.4162 0.5911
O9 O 0.1762 0.4245 0.1041
O10 O 0.1815 0.9232 0.1068
O11 O 0.1843 0.1783 0.1245
O12 O 0.1839 0.6747 0.6146
O13 O 0.1857 0.1786 0.6183
O14 O 0.1881 0.6844 0.1212
O15 O 0.2297 0.2301 0.3608
O16 O 0.2316 0.2244 0.8493
O17 O 0.2348 0.0054 0.9746
O18 O 0.2368 0.7445 0.3703
O19 O 0.2393 0.7416 0.8659
O20 O 0.2417 0.5057 0.9734
O21 O 0.2528 0.5139 0.4670
O22 O 0.2539 0.0211 0.4708
O23 O 0.3807 0.5851 0.7486
O24 O 0.3824 0.6015 0.2531
O25 O 0.3831 0.0932 0.7406
O26 O 0.3925 0.0911 0.2524
O27 O 0.4191 0.4126 0.5906
O28 O 0.4228 0.9165 0.5914
O29 O 0.4235 0.9178 0.1006
O30 O 0.4262 0.4224 0.1050
O31 O 0.4304 0.6847 0.1184
O32 O 0.4332 0.6784 0.6137
O33 O 0.4355 0.1823 0.6186
O34 O 0.4371 0.1797 0.1222
O35 O 0.4743 0.8780 0.3614
O36 O 0.4793 0.3621 0.8490
O37 O 0.4816 0.8626 0.8565
O38 O 0.4848 0.3661 0.3695
O39 O 0.4878 0.2179 0.9725
O40 O 0.4985 0.7064 0.9704
O41 O 0.4994 0.1915 0.4685
O42 O 0.5040 0.6971 0.4669
O43 O 0.6229 0.8906 0.2467
O44 O 0.6271 0.3901 0.7400
O45 O 0.6283 0.8941 0.7411
O46 O 0.6311 0.3973 0.2537
O47 O 0.6691 0.4167 0.5885
O48 O 0.6735 0.9192 0.5952
O49 O 0.6771 0.4238 0.1054
O50 O 0.6768 0.9271 0.1081
O51 O 0.6823 0.1751 0.6173
O52 O 0.6831 0.1789 0.1226
O53 O 0.6841 0.6788 0.1193
O54 O 0.6853 0.6793 0.6148
O55 O 0.7278 0.2285 0.3615
O56 O 0.7308 0.2260 0.8478
O57 O 0.7392 0.4935 0.9713
O58 O 0.7395 0.0010 0.9755
O59 O 0.7414 0.0132 0.4738
O60 O 0.7415 0.7433 0.8580
O61 O 0.7426 0.7527 0.3695
O62 O 0.7517 0.5155 0.4664
O63 O 0.8757 0.5912 0.7399
O64 O 0.8833 0.6029 0.2532
O65 O 0.8838 0.0876 0.7404
O66 O 0.8900 0.0997 0.2529
O67 O 0.9199 0.4128 0.5897
O68 O 0.9225 0.9149 0.5931
O69 O 0.9269 0.4221 0.1054
O70 O 0.9302 0.9242 0.1068
O71 O 0.9324 0.6829 0.6162
O72 O 0.9342 0.6816 0.1177
O73 O 0.9353 0.1762 0.6146
O74 O 0.9363 0.1806 0.1219
O75 O 0.9806 0.8697 0.8482
O76 O 0.9853 0.3694 0.3710
O77 O 0.9872 0.2142 0.9745
O78 O 0.9913 0.3567 0.8572
O79 O 0.9907 0.8731 0.3704
O80 O 0.9983 0.1902 0.4683
```

symmetry	P1, No. 1
energy of formation	-2.413	eV/atom
electronic total energy	-6.642	eV/atom

---

Q: Which formula does entry 1 have?
A: Sr3CaMn2FeO10